1.
LuVO4, optimized geometry, DFT PBE with a Hubbard U; calculated formation energy = -3.18 eV per atom; symmetry = I4_1/a, No. 88; ρ = 6.9 g/cm³
1.0
-2.509 2.509 5.522
2.509 -2.509 5.522
2.509 2.509 -5.522
O Lu V
8 2 2
Direct
0.177 0.072 0.412 O
0.091 0.485 0.912 O
0.659 0.765 0.588 O
0.928 0.341 0.105 O
0.235 0.823 0.895 O
0.515 0.427 0.605 O
0.822 0.909 0.395 O
0.573 0.178 0.088 O
0.250 0.750 0.500 Lu
0.500 0.500 0.000 Lu
0.750 0.250 0.500 V
0.000 0.000 0.000 V


2.
MnO2, optimized geometry, DFT PBE with a Hubbard U; calculated formation energy = -1.81 eV per atom; symmetry = C2/m, No. 12; ρ = 4.0 g/cm³
1.0
-1.708 0.796 -2.238
-0.765 -6.191 -3.525
-6.546 -1.081 2.703
O Mn
8 4
Direct
0.164 0.294 0.380 O
0.845 0.953 0.362 O
0.458 0.379 0.710 O
0.544 0.624 0.293 O
0.157 0.049 0.641 O
0.836 0.709 0.624 O
0.795 0.362 0.050 O
0.206 0.641 0.953 O
0.167 0.486 0.183 Mn
0.652 0.183 0.517 Mn
0.834 0.516 0.820 Mn
0.349 0.820 0.486 Mn


3.
Fe5O7, optimized geometry, DFT PBE with a Hubbard U; calculated formation energy = -1.46 eV per atom; symmetry = Cmcm, No. 63; ρ = 4.5 g/cm³
1.0
1.499 -5.058 0.000
1.499 5.058 0.000
0.000 0.000 19.081
Fe O
10 14
Direct
0.475 0.525 0.838 Fe
0.000 0.000 0.500 Fe
0.263 0.737 0.425 Fe
0.263 0.737 0.075 Fe
0.475 0.525 0.662 Fe
0.737 0.263 0.575 Fe
0.525 0.475 0.162 Fe
0.737 0.263 0.925 Fe
0.000 0.000 0.000 Fe
0.525 0.475 0.338 Fe
0.649 0.351 0.473 O
0.101 0.899 0.600 O
0.101 0.899 0.900 O
0.546 0.454 0.750 O
0.852 0.148 0.655 O
0.148 0.852 0.155 O
0.899 0.101 0.400 O
0.852 0.148 0.845 O
0.899 0.101 0.100 O
0.351 0.649 0.527 O
0.649 0.351 0.027 O
0.351 0.649 0.973 O
0.148 0.852 0.345 O
0.454 0.546 0.250 O


4.
Ba2TaMnO6, optimized geometry, DFT PBE with a Hubbard U; calculated formation energy = -3.07 eV per atom; symmetry = Pnma, No. 62; ρ = 7.2 g/cm³
1.0
-4.169 4.169 0.000
-8.305 -8.306 0.000
0.000 0.000 8.043
Ta O Mn Ba
4 24 4 8
Direct
0.516 0.500 0.250 Ta
0.984 0.250 0.750 Ta
0.016 0.750 0.750 Ta
0.484 0.000 0.250 Ta
0.775 0.624 0.250 O
0.480 0.001 0.998 O
0.716 0.882 0.250 O
0.980 0.249 0.002 O
0.020 0.749 0.498 O
0.020 0.749 0.002 O
0.768 0.377 0.250 O
0.480 0.001 0.502 O
0.520 0.500 0.502 O
0.276 0.626 0.750 O
0.224 0.124 0.250 O
0.232 0.877 0.250 O
0.268 0.873 0.750 O
0.292 0.621 0.250 O
0.792 0.629 0.750 O
0.284 0.382 0.250 O
0.520 0.501 0.998 O
0.980 0.249 0.498 O
0.784 0.868 0.750 O
0.708 0.121 0.250 O
0.732 0.373 0.750 O
0.724 0.126 0.750 O
0.216 0.368 0.750 O
0.208 0.129 0.750 O
0.488 0.001 0.750 Mn
0.012 0.749 0.250 Mn
0.512 0.501 0.750 Mn
0.988 0.249 0.250 Mn
0.013 0.500 0.000 Ba
0.487 0.250 0.000 Ba
0.513 0.750 0.000 Ba
0.487 0.250 0.500 Ba
0.987 0.000 0.500 Ba
0.013 0.500 0.500 Ba
0.513 0.750 0.500 Ba
0.987 0.000 0.000 Ba


5.
MgFe3Co2SbP6O24, optimized geometry, DFT PBE with a Hubbard U; calculated formation energy = -2.27 eV per atom; symmetry = P1, No. 1; ρ = 3.4 g/cm³
1.0
-4.166 2.175 -7.601
-0.291 8.396 -2.649
4.758 2.613 -6.922
P O Co Fe Mg Sb
6 24 2 3 1 1
Direct
0.735 0.466 0.053 P
0.214 0.961 0.263 P
0.204 0.563 0.972 P
0.743 0.746 0.455 P
0.742 0.061 0.740 P
0.208 0.255 0.568 P
0.709 0.253 0.583 O
0.393 0.002 0.178 O
0.781 0.273 0.055 O
0.564 0.622 0.988 O
0.790 0.889 0.263 O
0.175 0.946 0.119 O
0.895 0.896 0.665 O
0.702 0.461 0.246 O
0.888 0.550 0.894 O
0.245 0.411 0.570 O
0.896 0.669 0.543 O
0.788 0.064 0.884 O
0.254 0.762 0.420 O
0.571 0.828 0.605 O
0.709 0.592 0.450 O
0.042 0.500 0.121 O
0.382 0.174 0.425 O
0.382 0.425 0.021 O
0.167 0.761 0.955 O
0.178 0.107 0.764 O
0.040 0.331 0.510 O
0.570 0.004 0.820 O
0.244 0.563 0.777 O
0.052 0.114 0.337 O
0.350 0.870 0.896 Co
0.496 0.515 0.489 Co
0.915 0.360 0.364 Fe
0.709 0.773 0.757 Fe
0.086 0.633 0.641 Fe
0.965 0.014 0.008 Mg
0.520 0.157 0.162 Sb


6.
Li3TiCr2O6, optimized geometry, DFT PBE with a Hubbard U; calculated formation energy = -2.57 eV per atom; symmetry = P-1, No. 2; ρ = 4.0 g/cm³
1.0
-0.574 -3.361 4.783
-0.526 4.511 4.897
-6.173 -0.449 2.564
O Ti Li Cr
12 2 6 4
Direct
0.957 0.325 0.925 O
0.469 0.321 0.902 O
0.802 0.656 0.571 O
0.698 0.346 0.432 O
0.210 0.342 0.409 O
0.034 0.681 0.096 O
0.365 0.011 0.763 O
0.633 0.988 0.237 O
0.301 0.657 0.570 O
0.534 0.679 0.096 O
0.866 0.010 0.763 O
0.133 0.986 0.238 O
0.850 0.333 0.667 Ti
0.316 0.334 0.666 Ti
0.913 0.672 0.838 Li
0.752 0.000 0.497 Li
0.415 0.667 0.836 Li
0.583 0.333 0.167 Li
0.083 0.333 0.167 Li
0.253 0.995 0.495 Li
0.499 0.000 0.000 Cr
0.668 0.666 0.334 Cr
0.998 0.001 0.001 Cr
0.169 0.665 0.332 Cr


Q: The highest calculated formation energy belongs to which entry?
A: Fe5O7


Q: Among the records above, which one has the lowest calculated formation energy?
A: LuVO4


Q: Among the records above, which one has the lowest calculated formation energy?
A: LuVO4